# 1
Sr2CuO4 | r²SCAN | relaxed

Cell and atoms, written as extended XYZ:
```
7
Lattice="-1.9257 1.9257 6.1389 1.9257 -1.9257 6.1389 1.9257 1.9257 -6.1389" Properties=species:S:1:pos:R:3 pbc="T T T"
O 0.0000 0.0000 10.3626
O 0.0000 0.0000 1.9152
O 1.9257 0.0000 0.0000
O 0.0000 1.9257 0.0000
Cu 0.0000 0.0000 0.0000
Sr 0.0000 0.0000 4.4080
Sr 0.0000 0.0000 7.8698
```

## Properties
space group = No. 139
magnetic moment = 0.00 μB per atom
calculated density = 5.5 g cm⁻³
energy of formation = -2.028 eV per atom

# 2
SrCuO3 | r²SCAN | relaxed

Cell and atoms, written as extended XYZ:
```
5
Lattice="-1.5862 2.7334 -2.1785 -3.4168 -1.7170 0.3335 -0.7370 2.0770 3.1426" Properties=species:S:1:pos:R:3 pbc="T T T"
O -0.3685 1.0385 1.5713
O -1.7084 -0.8585 0.1668
O -0.7931 1.3667 -1.0893
Sr -2.8700 1.5467 0.6488
Cu 0.0000 0.0000 0.0000
```

## Properties
space group = No. 221
magnetic moment = 0.13 μB per atom
calculated density = 5.8 g cm⁻³
energy of formation = -1.540 eV per atom

# 3
Sr2Cu2O5 | r²SCAN | relaxed

Cell and atoms, written as extended XYZ:
```
18
Lattice="3.7110 0.0000 0.0000 0.0000 5.4755 0.0000 0.0000 0.0000 10.8909" Properties=species:S:1:pos:R:3 pbc="T T T"
Sr 1.8555 3.9129 6.9175
Sr 1.8555 4.3004 1.4720
Sr 1.8555 1.1751 9.4188
Sr 1.8555 1.5626 3.9734
O 0.0000 2.6637 8.3636
O 0.0000 2.7377 5.4454
O 1.8555 1.1045 6.5117
O 1.8555 4.3710 4.3791
O 0.0000 2.8118 2.5273
O 1.8555 3.8423 9.8246
O 0.0000 0.0741 2.9182
O 0.0000 0.0000 0.0000
O 1.8555 1.6332 1.0663
O 0.0000 5.4014 7.9727
Cu 0.0000 1.4124 1.3236
Cu 0.0000 4.1501 4.1218
Cu 0.0000 1.3254 6.7691
Cu 0.0000 4.0631 9.5672
```

## Properties
space group = No. 55
magnetic moment = 0.00 μB per atom
calculated density = 5.7 g cm⁻³
energy of formation = -1.776 eV per atom

# 4
Cu3TeO6 | r²SCAN | relaxed

Cell and atoms, written as extended XYZ:
```
40
Lattice="-0.5498 -3.7934 7.3238 3.2063 7.5487 1.0402 -7.5335 0.6430 -3.3434" Properties=species:S:1:pos:R:3 pbc="T T T"
Cu -3.5146 -0.3769 4.0086
Cu -1.3756 -1.6456 6.6219
Cu -1.3624 4.7752 1.0121
Cu -0.7761 0.9708 4.9121
Cu 1.1013 6.6425 1.7702
Cu -3.5015 6.0439 -1.6013
Cu -4.8673 0.5723 1.2883
Cu -4.1009 3.4276 0.1086
Cu -0.0097 3.8260 3.7324
Cu 1.8553 3.0757 6.2001
Cu -5.9783 -2.2442 3.2505
Cu -6.7323 1.3226 -1.1794
O -3.2227 5.1674 0.6006
O -0.4564 0.1418 6.6418
O 2.6474 6.2899 2.8963
O -1.9372 3.9474 3.1758
O -4.2213 2.7574 1.9993
O -5.2671 0.0308 3.1128
O 1.7560 4.1275 4.4906
O -7.5244 -1.8916 2.1244
O -2.9398 0.4509 1.8448
O -0.6617 6.5782 0.8071
O -1.8816 2.8485 0.7732
O -6.4346 2.5551 -2.6537
O -2.4845 -3.1905 6.2132
O -4.4206 4.2565 -1.6211
O -4.4907 1.5917 -0.4024
O 0.3901 4.3675 1.9079
O -0.3863 2.8066 5.4231
O -4.2153 -2.1798 4.2136
O -2.9954 1.5498 4.2475
O -2.3925 7.5888 -1.1925
O -6.6330 0.2708 0.5301
O 1.5576 1.8432 7.6744
O -1.6542 -0.7691 4.4200
O -0.6557 1.6409 3.0213
Te -4.3166 -3.4718 5.6521
Te -0.2749 -1.8966 3.6619
Te 1.6031 3.7744 0.5201
Te -2.4385 2.1992 2.5103
```

## Properties
space group = No. 206
magnetic moment = 0.30 μB per atom
calculated density = 6.3 g cm⁻³
energy of formation = -0.912 eV per atom

# 5
TmCu2O4 | r²SCAN | relaxed

Cell and atoms, written as extended XYZ:
```
14
Lattice="-5.2373 0.9207 1.5502 -3.1896 3.8728 -3.5168 -3.6702 -4.9055 0.0732" Properties=species:S:1:pos:R:3 pbc="T T T"
O -7.8043 -1.2793 -2.4007
O -7.9416 -1.1847 0.4654
O -5.3939 -2.9412 0.2204
O -6.9252 0.9360 -0.4104
O -4.1555 1.0727 -2.3587
O -6.7032 2.8292 -2.1137
O -5.1719 -1.0480 -1.4829
O -4.2929 1.1673 0.5074
Tm -5.7031 -0.6661 0.7510
Tm -6.3940 0.5541 -2.6443
Cu -4.2135 2.3968 -0.9833
Cu -2.6187 0.4604 0.7751
Cu -1.5948 1.9364 -1.7584
Cu -3.4299 -0.5164 -1.7218
```

## Properties
space group = No. 15
magnetic moment = 0.14 μB per atom
calculated density = 8.1 g cm⁻³
energy of formation = -1.967 eV per atom

# 6
YCu2O4 | r²SCAN | relaxed

Cell and atoms, written as extended XYZ:
```
14
Lattice="-3.5972 -4.2877 -0.0383 4.1919 -3.2746 -1.9823 0.9635 2.6839 5.4897" Properties=species:S:1:pos:R:3 pbc="T T T"
O -2.2633 -3.8694 0.4180
O 1.1222 -2.3694 -0.1673
O 0.4059 -4.8930 0.4760
O 2.5814 -3.0771 1.8335
O 3.8215 -1.0091 3.0511
O 0.4360 -2.5091 3.6364
O 1.1522 0.0146 2.9931
O -1.0232 -1.8014 1.6356
Cu 0.7791 -2.4392 1.7345
Cu 0.2973 -3.7811 -1.0103
Cu -1.7986 -2.1439 -0.0192
Cu 2.5777 -0.2954 1.7537
Y 3.4596 -2.7307 -0.3651
Y -1.9015 -2.1477 3.8342
```

## Properties
space group = No. 15
magnetic moment = 0.14 μB per atom
calculated density = 6.1 g cm⁻³
energy of formation = -1.935 eV per atom

# 7
YCuO3 | r²SCAN | relaxed

Cell and atoms, written as extended XYZ:
```
30
Lattice="2.0640 5.0300 -2.9429 -3.2019 -4.2926 -3.0891 -9.3869 5.2643 2.4144" Properties=species:S:1:pos:R:3 pbc="T T T"
Cu -5.0863 2.8856 -0.7998
Cu -1.0809 -1.4231 -1.0261
Cu -4.7778 4.8079 -3.7916
Cu -0.7723 0.4993 -4.0180
Cu -6.5329 1.7006 -3.8404
Cu 0.6743 1.6842 -0.9774
O -4.5511 2.5523 1.1706
O -2.5500 -0.4744 -0.5681
O 0.1655 2.0028 -2.9548
O -8.9964 2.8946 0.9318
O -2.3304 1.3751 -3.7469
O -6.5979 3.7312 -0.2814
O -3.5738 2.0393 -1.3150
O -10.3825 5.9219 -3.6542
O -1.5898 -1.1047 -3.0035
O -5.0388 0.7393 -4.1766
O -3.1786 4.0326 -4.1249
O -6.2833 1.5274 -1.7963
O -8.6013 4.8879 -1.8782
O -7.1362 6.1879 0.9835
O -0.9027 2.4418 -0.5223
O -6.3783 5.5807 -3.4602
O -4.5280 4.6349 -1.7476
O -8.0255 2.6646 -3.5059
Y -5.7736 -2.8504 -2.4277
Y -8.3590 2.6915 -1.2624
Y -6.6037 5.7991 -1.2137
Y -1.9105 3.1670 -2.4208
Y -3.6658 0.0595 -2.4696
Y -8.4028 4.8117 -4.1634
```

## Properties
space group = No. 185
magnetic moment = 0.00 μB per atom
calculated density = 5.5 g cm⁻³
energy of formation = -2.264 eV per atom

# 8
CuP2 | r²SCAN | relaxed

Cell and atoms, written as extended XYZ:
```
12
Lattice="4.7834 0.0000 0.0000 0.0000 5.3212 -2.2223 0.0000 0.0087 7.4979" Properties=species:S:1:pos:R:3 pbc="T T T"
P 0.5552 0.9272 3.9667
P 1.3410 0.2527 5.8978
P 1.8365 3.5835 -0.8934
P 3.4423 5.0771 -0.6221
P 3.7327 2.4209 4.2379
P 4.2282 4.4026 1.3090
P 1.0506 2.9089 1.0377
P 2.9469 1.7463 6.1691
Cu 2.5854 3.8667 2.7476
Cu 2.1980 1.4631 2.5281
Cu 4.5897 1.2018 0.1098
Cu 0.1937 4.1280 5.1659
```

## Properties
space group = No. 14
magnetic moment = 0.00 μB per atom
calculated density = 4.4 g cm⁻³
energy of formation = -0.156 eV per atom

# 9
CuP10 | r²SCAN | relaxed

Cell and atoms, written as extended XYZ:
```
44
Lattice="7.1209 0.1106 0.8861 0.8164 10.9075 4.6873 0.0791 0.3269 12.2960" Properties=species:S:1:pos:R:3 pbc="T T T"
P 1.9943 10.1761 13.9225
P 3.7483 5.0094 12.1928
P 4.2682 6.3356 5.6766
P 0.6578 1.4541 9.2823
P 2.3635 6.8133 6.7142
P 2.5763 9.9335 5.0439
P 6.2510 4.3247 14.5899
P 5.8373 6.3382 9.7320
P 4.2279 9.7942 8.1391
P 5.9712 8.8260 7.3334
P 3.9639 7.3603 10.3767
P 4.0288 4.2594 14.2269
P 6.7631 1.8779 1.9685
P 4.4413 9.5607 16.3387
P 3.9111 4.2124 5.3180
P 6.0222 1.1688 3.9469
P 5.6530 4.5317 11.1552
P 7.3587 9.8909 8.5871
P 3.7886 1.5507 9.7303
P 3.9876 7.0855 3.6425
P 6.6174 9.6269 10.6650
P 3.5752 1.7842 1.5306
P 4.2154 10.2501 14.2324
P 4.0525 3.9847 7.4927
P 0.7855 3.7861 6.8879
P 1.3990 1.7181 7.2044
P 1.6450 4.0914 4.8940
P 5.4401 1.4114 12.8254
P 0.9557 6.1630 5.1187
P 1.2534 9.4670 15.9009
P 2.1792 5.0067 8.1373
P 4.1054 7.1326 12.5514
P 2.0452 2.5189 10.5360
P 7.0608 5.1819 12.7507
P 3.6303 1.8465 7.5424
P 7.2310 7.5588 10.9815
P 3.8010 1.0948 3.6370
P 6.3715 7.2536 12.9754
P 4.3861 9.4984 10.3270
P 1.7655 7.0203 3.2794
Cu 5.6964 2.2813 10.7470
Cu 1.8024 1.6216 12.6348
Cu 6.2141 9.7233 5.2346
Cu 2.3200 9.0636 7.1224
```

## Properties
space group = No. 2
magnetic moment = 0.00 μB per atom
calculated density = 2.6 g cm⁻³
energy of formation = -0.064 eV per atom

# 10
Cu2P7 | r²SCAN | relaxed

Cell and atoms, written as extended XYZ:
```
36
Lattice="-5.7090 2.4383 -3.7106 -6.0660 -4.0087 -0.3494 -8.6230 5.8998 10.0957" Properties=species:S:1:pos:R:3 pbc="T T T"
Cu -5.1472 -2.0528 -0.4778
Cu -8.6813 0.5004 -0.4108
Cu -15.2507 6.3822 6.5135
Cu -12.9004 1.6049 -0.2418
Cu -7.4975 2.7245 6.2776
Cu -11.7166 3.8291 6.4466
Cu -5.3463 3.1600 3.2539
Cu -15.0517 1.1694 2.7818
P -15.5631 3.3216 8.2939
P -17.2409 3.0675 5.1779
P -9.6914 2.2281 -1.4668
P -2.1531 -0.1376 -0.5151
P -12.2112 0.1915 4.8172
P -14.4823 5.2215 4.5685
P -12.3516 5.0780 8.2443
P -11.2785 2.1939 1.2329
P -13.2763 1.8985 3.9505
P -9.1194 2.1355 4.8028
P -10.3905 3.8841 4.4424
P -5.9157 -0.8920 1.4673
P -8.4718 0.9952 3.0571
P -3.1571 1.2619 0.8578
P -8.1868 4.1379 1.2185
P -6.6577 0.9324 0.5050
P -10.7065 2.1013 7.5025
P -10.3383 0.6437 5.8600
P -10.0596 3.6857 0.1757
P -11.9261 3.3343 2.9786
P -13.7403 3.3970 5.5307
P -4.9548 2.0297 -0.3106
P -10.0075 0.4453 1.5933
P -18.2449 4.4670 6.5508
P -7.1216 2.4309 2.0853
P -15.4431 2.2997 6.3463
P -4.8349 1.0078 -2.2581
P -8.0463 -0.7486 -2.2085
```

## Properties
space group = No. 12
magnetic moment = 0.00 μB per atom
calculated density = 3.6 g cm⁻³
energy of formation = -0.139 eV per atom

# 11
Cu3PSe4 | r²SCAN | relaxed

Cell and atoms, written as extended XYZ:
```
16
Lattice="6.3710 0.0000 0.0000 0.0000 6.6659 0.0000 0.0000 0.0000 7.6728" Properties=species:S:1:pos:R:3 pbc="T T T"
Se 5.4574 4.5264 0.0000
Se 2.4387 5.5730 5.8136
Se 2.4387 5.5730 1.8591
Se 2.3913 2.3655 0.0000
Se 5.6241 1.0929 1.9772
Se 5.5768 4.3004 3.8364
Se 5.6241 1.0929 5.6955
Se 2.2719 2.1395 3.8364
Cu 3.2441 1.1754 5.7837
Cu 3.2441 1.1754 1.8891
Cu 0.0586 5.4905 1.9473
Cu 6.3528 2.3071 0.0000
Cu 3.1674 4.3588 3.8364
Cu 0.0586 5.4905 5.7255
P 3.1870 4.4809 0.0000
P 0.0015 2.1850 3.8364
```

## Properties
space group = No. 31
magnetic moment = 0.00 μB per atom
calculated density = 5.5 g cm⁻³
energy of formation = -0.202 eV per atom

# 12
Cu4SnP10 | r²SCAN | relaxed

Cell and atoms, written as extended XYZ:
```
15
Lattice="-1.5878 -3.7039 6.0199 2.1353 -6.9008 0.6909 5.2534 -1.7191 4.7015" Properties=species:S:1:pos:R:3 pbc="T T T"
P 2.4850 -9.9123 7.6381
P 6.2694 -5.1892 5.0095
P 3.7252 -4.3566 2.7326
P 5.0751 -10.7599 9.9561
P 4.7593 -7.6987 3.0672
P 5.5113 -7.0678 8.0577
P 5.8496 -8.9355 6.9967
P 4.0223 -7.3575 9.6155
P 3.9862 -9.6022 6.0960
P 6.5557 -10.4430 8.3956
Sn 2.0184 -6.3428 6.6257
Cu -1.5796 -3.7022 6.0114
Cu 3.2185 -8.0873 4.6468
Cu 2.1452 -4.6186 4.2995
Cu 4.7858 -5.4827 6.6627
```

## Properties
space group = No. 160
magnetic moment = 0.00 μB per atom
calculated density = 4.2 g cm⁻³
energy of formation = -0.168 eV per atom

# 13
UCuP2 | r²SCAN | relaxed

Cell and atoms, written as extended XYZ:
```
8
Lattice="-1.8863 1.8863 9.5380 1.8863 -1.8863 9.5380 1.8863 1.8863 -9.5380" Properties=species:S:1:pos:R:3 pbc="T T T"
P 1.8863 0.0000 0.0000
P 0.0000 0.0000 6.2298
P 0.0000 1.8863 0.0000
P 0.0000 0.0000 12.8462
U 0.0000 0.0000 16.9713
U 0.0000 0.0000 2.1046
Cu 1.8863 0.0000 4.7690
Cu 0.0000 1.8863 4.7690
```

## Properties
space group = No. 139
magnetic moment = 0.57 μB per atom
calculated density = 8.9 g cm⁻³
energy of formation = -0.792 eV per atom

# 14
YCuP2 | r²SCAN | relaxed

Cell and atoms, written as extended XYZ:
```
8
Lattice="-3.2490 -1.6774 0.6533 1.7990 -2.9766 1.3039 -0.1721 3.8362 8.9945" Properties=species:S:1:pos:R:3 pbc="T T T"
P -2.0992 0.4995 6.6817
P -0.3625 -1.1635 0.4893
P -1.0875 -3.4905 1.4679
P 0.4771 -1.3174 4.2700
Y -2.0268 -1.1156 2.8948
Y 0.4047 0.2977 8.0569
Cu -0.4485 0.7546 4.9866
Cu -1.1735 -1.5724 5.9651
```

## Properties
space group = No. 129
magnetic moment = 0.00 μB per atom
calculated density = 5.3 g cm⁻³
energy of formation = -0.964 eV per atom

# 15
YZnCuP2 | r²SCAN | relaxed

Cell and atoms, written as extended XYZ:
```
5
Lattice="-1.0402 3.8150 0.0979 -0.5850 -2.2914 3.1706 5.9389 1.5622 2.2248" Properties=species:S:1:pos:R:3 pbc="T T T"
Zn 2.2360 0.5882 0.8376
P 4.4111 1.1603 1.6524
P 0.6361 2.1806 1.6932
Cu 2.9095 2.7786 2.5449
Y 5.1104 1.2821 4.3368
```

## Properties
space group = No. 156
magnetic moment = 0.00 μB per atom
calculated density = 5.3 g cm⁻³
energy of formation = -0.898 eV per atom

# 16
ZrCu2P2 | r²SCAN | relaxed

Cell and atoms, written as extended XYZ:
```
5
Lattice="-0.5044 1.8784 3.2612 2.1913 -3.0998 -0.0862 4.9014 3.4999 -1.2577" Properties=species:S:1:pos:R:3 pbc="T T T"
Cu 2.1641 1.4828 1.6912
Cu 4.4242 0.7956 0.2260
P 4.0596 2.8363 1.2049
P 2.5288 -0.5579 0.7124
Zr 0.0000 0.0000 0.0000
```

## Properties
space group = No. 164
magnetic moment = 0.00 μB per atom
calculated density = 6.1 g cm⁻³
energy of formation = -0.764 eV per atom

# 17
PaCu2Sn | r²SCAN | relaxed

Cell and atoms, written as extended XYZ:
```
4
Lattice="0.0000 3.3183 3.3183 3.3183 0.0000 3.3183 3.3183 3.3183 0.0000" Properties=species:S:1:pos:R:3 pbc="T T T"
Sn 3.3183 3.3183 3.3183
Pa 0.0000 0.0000 0.0000
Cu 4.9775 4.9775 4.9775
Cu 1.6592 1.6592 1.6592
```

## Properties
space group = No. 225
magnetic moment = 0.00 μB per atom
calculated density = 10.8 g cm⁻³
energy of formation = -0.119 eV per atom